1.
The following is a r²SCAN calculation of crystalline Sm3Dy at its relaxed geometry, from the Materials Project database.

Cell: 6.242 6.242 6.242 Å, 131.67 131.67 70.76°
Fractional coordinates of all 4 atoms:
Sm (0.750, 0.250, 0.500)
Sm (0.250, 0.750, 0.500)
Sm (0.500, 0.500, 0.000)
Dy (0.000, 0.000, 0.000)

As for the symmetry: No. 139. The volume comes out at 33.24 Å³ per atom. The excess energy over the best structure of this formula in the dataset is 0.024 eV/atom. The calculation puts the total energy at -30.268 eV/atom.

=====

2.
The following is a r²SCAN calculation of crystalline SmDy3 at its relaxed geometry, from the Materials Project database.

Cell: 7.334 7.334 5.617 Å, 90.00 90.00 120.00°
Fractional coordinates of all 8 atoms:
Sm (0.667, 0.333, 0.250)
Sm (0.333, 0.667, 0.750)
Dy (0.834, 0.166, 0.750)
Dy (0.331, 0.166, 0.750)
Dy (0.834, 0.669, 0.750)
Dy (0.166, 0.834, 0.250)
Dy (0.669, 0.834, 0.250)
Dy (0.166, 0.331, 0.250)

As for the symmetry: No. 194. The volume comes out at 32.70 Å³ per atom. The excess energy over the best structure of this formula in the dataset is 0.000 eV/atom. The calculation puts the total energy at -31.409 eV/atom.

=====

3.
The following is a r²SCAN calculation of crystalline SmDyTl2 at its relaxed geometry, from the Materials Project database.

Cell: 5.383 5.383 5.383 Å, 60.00 60.00 60.00°
Fractional coordinates of all 4 atoms:
Sm (0.750, 0.750, 0.750)
Dy (0.250, 0.250, 0.250)
Tl (0.000, 0.000, 0.000)
Tl (0.500, 0.500, 0.500)

As for the symmetry: No. 225. The volume comes out at 27.57 Å³ per atom. The calculation puts the total energy at -42.487 eV/atom.

=====

4.
The following is a r²SCAN calculation of crystalline Dy5Sn3 at its relaxed geometry, from the Materials Project database.

Cell: 8.928 8.928 6.560 Å, 90.00 90.00 120.00°
Fractional coordinates of all 16 atoms:
Dy (0.000, 0.761, 0.750)
Dy (0.000, 0.239, 0.250)
Dy (0.761, 0.761, 0.250)
Dy (0.761, 0.000, 0.750)
Dy (0.239, 0.239, 0.750)
Dy (0.239, 0.000, 0.250)
Dy (0.333, 0.667, 0.500)
Dy (0.667, 0.333, 0.000)
Dy (0.667, 0.333, 0.500)
Dy (0.333, 0.667, 0.000)
Sn (0.394, 0.000, 0.750)
Sn (0.394, 0.394, 0.250)
Sn (0.000, 0.606, 0.250)
Sn (0.000, 0.394, 0.750)
Sn (0.606, 0.606, 0.750)
Sn (0.606, 0.000, 0.250)

As for the symmetry: No. 193. The volume comes out at 28.30 Å³ per atom. The calculation puts the total energy at -30.114 eV/atom.

=====

5.
The following is a r²SCAN calculation of crystalline DySn2 at its relaxed geometry, from the Materials Project database.

Cell: 4.314 4.391 8.566 Å, 104.85 90.00 90.00°
Fractional coordinates of all 6 atoms:
Dy (0.250, 0.899, 0.799)
Dy (0.750, 0.101, 0.201)
Sn (0.250, 0.252, 0.503)
Sn (0.750, 0.748, 0.497)
Sn (0.750, 0.439, 0.878)
Sn (0.250, 0.561, 0.122)

As for the symmetry: No. 63. The volume comes out at 26.14 Å³ per atom. The calculation puts the total energy at -27.795 eV/atom.

=====

6.
The following is a r²SCAN calculation of crystalline Dy5Sn13 at its relaxed geometry, from the Materials Project database.

Cell: 4.362 4.409 24.664 Å, 95.17 95.05 89.97°
Fractional coordinates of all 18 atoms:
Dy (0.672, 0.672, 0.344)
Dy (0.897, 0.397, 0.794)
Dy (0.328, 0.328, 0.656)
Dy (0.103, 0.603, 0.206)
Dy (0.500, 0.000, 0.000)
Sn (0.779, 0.280, 0.559)
Sn (0.157, 0.157, 0.314)
Sn (0.383, 0.884, 0.767)
Sn (0.279, 0.780, 0.559)
Sn (0.617, 0.116, 0.233)
Sn (0.053, 0.053, 0.106)
Sn (0.721, 0.220, 0.441)
Sn (0.221, 0.720, 0.441)
Sn (0.447, 0.447, 0.895)
Sn (0.553, 0.552, 0.105)
Sn (0.843, 0.843, 0.686)
Sn (0.000, 0.500, 0.000)
Sn (0.947, 0.947, 0.894)

As for the symmetry: No. 12. The volume comes out at 26.14 Å³ per atom. The calculation puts the total energy at -27.277 eV/atom.

=====

7.
The following is a r²SCAN calculation of crystalline DySn3 at its relaxed geometry, from the Materials Project database.

Cell: 4.689 4.689 4.689 Å, 90.00 90.00 90.00°
Fractional coordinates of all 4 atoms:
Dy (0.000, 0.000, 0.000)
Sn (0.500, 0.500, 0.000)
Sn (0.500, 0.000, 0.500)
Sn (0.000, 0.500, 0.500)

As for the symmetry: No. 221. The volume comes out at 25.78 Å³ per atom. The calculation puts the total energy at -26.961 eV/atom.

=====

8.
The following is a r²SCAN calculation of crystalline Dy2Sn5 at its relaxed geometry, from the Materials Project database.

Cell: 4.336 4.410 19.238 Å, 90.00 90.00 90.00°
Fractional coordinates of all 14 atoms:
Dy (0.250, 0.750, 0.872)
Dy (0.250, 0.250, 0.301)
Dy (0.750, 0.750, 0.699)
Dy (0.750, 0.250, 0.128)
Sn (0.250, 0.250, 0.738)
Sn (0.750, 0.250, 0.425)
Sn (0.750, 0.250, 0.843)
Sn (0.750, 0.250, 0.576)
Sn (0.750, 0.750, 0.262)
Sn (0.250, 0.750, 0.424)
Sn (0.250, 0.750, 0.575)
Sn (0.250, 0.750, 0.157)
Sn (0.250, 0.250, 0.998)
Sn (0.750, 0.750, 0.002)

As for the symmetry: No. 59. The volume comes out at 26.28 Å³ per atom. The calculation puts the total energy at -27.360 eV/atom.

=====

9.
The following is a r²SCAN calculation of crystalline DyZnSn at its relaxed geometry, from the Materials Project database.

Cell: 4.452 4.452 16.041 Å, 90.00 90.00 120.00°
Fractional coordinates of all 12 atoms:
Dy (0.000, 0.000, 0.250)
Dy (0.000, 0.000, 0.750)
Dy (0.000, 0.000, 0.000)
Dy (0.000, 0.000, 0.500)
Zn (0.333, 0.667, 0.162)
Zn (0.667, 0.333, 0.838)
Zn (0.667, 0.333, 0.662)
Zn (0.333, 0.667, 0.338)
Sn (0.333, 0.667, 0.614)
Sn (0.667, 0.333, 0.386)
Sn (0.667, 0.333, 0.114)
Sn (0.333, 0.667, 0.886)

As for the symmetry: No. 194. The volume comes out at 22.94 Å³ per atom. The calculation puts the total energy at -22.556 eV/atom.

=====

10.
The following is a r²SCAN calculation of crystalline Dy4Te7 at its relaxed geometry, from the Materials Project database.

Cell: 4.359 4.359 17.579 Å, 90.00 90.00 90.00°
Fractional coordinates of all 11 atoms:
Dy (0.500, 0.000, 0.361)
Dy (0.500, 0.000, 0.871)
Dy (0.000, 0.500, 0.129)
Dy (0.000, 0.500, 0.639)
Te (0.500, 0.000, 0.179)
Te (0.500, 0.000, 0.690)
Te (0.000, 0.500, 0.310)
Te (0.000, 0.500, 0.821)
Te (0.500, 0.500, 0.500)
Te (0.000, 0.000, 0.000)
Te (0.000, 0.000, 0.500)

As for the symmetry: No. 115. The volume comes out at 30.37 Å³ per atom. The calculation puts the total energy at -29.257 eV/atom.

=====

11.
The following is a r²SCAN calculation of crystalline DyTe at its relaxed geometry, from the Materials Project database.

Cell: 4.342 4.342 4.342 Å, 60.00 60.00 60.00°
Fractional coordinates of all 2 atoms:
Dy (0.000, 0.000, 0.000)
Te (0.500, 0.500, 0.500)

As for the symmetry: No. 225. The volume comes out at 28.94 Å³ per atom. The calculation puts the total energy at -30.195 eV/atom.

=====

12.
The following is a r²SCAN calculation of crystalline DyTh2 at its relaxed geometry, from the Materials Project database.

Cell: 3.578 3.578 8.711 Å, 90.00 90.00 120.00°
Fractional coordinates of all 3 atoms:
Dy (0.000, 0.000, 0.000)
Th (0.333, 0.667, 0.663)
Th (0.667, 0.333, 0.337)

As for the symmetry: No. 164. The volume comes out at 32.19 Å³ per atom. The calculation puts the total energy at -59.626 eV/atom.